(1)
{
  "formula": "LuZr",
  "functional": "r²SCAN",
  "state": "optimized geometry",
  "formation_enthalpy_0k_ev_per_atom": 0.04,
  "final_energy_ev_per_atom": -30.378,
  "sg": "No. 187",
  "lattice_angstrom": [[3.372, 0.000, 0.000], [-1.686, 2.920, 0.000], [0.000, 0.000, 5.261]],
  "species": ["Lu", "Zr"],
  "frac_coords": [[0.000, 0.000, 0.000], [0.333, 0.667, 0.500]]
}

=====

(2)
{
  "formula": "LuZr3",
  "functional": "r²SCAN",
  "state": "optimized geometry",
  "formation_enthalpy_0k_ev_per_atom": 0.00,
  "final_energy_ev_per_atom": -26.583,
  "sg": "No. 194",
  "lattice_angstrom": [[6.617, 0.000, 0.000], [-3.309, 5.731, 0.000], [0.000, 0.000, 5.177]],
  "species": ["Lu", "Lu", "Zr", "Zr", "Zr", "Zr", "Zr", "Zr"],
  "frac_coords": [[0.333, 0.667, 0.250], [0.667, 0.333, 0.750], [0.164, 0.327, 0.750], [0.164, 0.836, 0.750], [0.327, 0.164, 0.250], [0.673, 0.836, 0.750], [0.836, 0.164, 0.250], [0.836, 0.673, 0.250]]
}

=====

(3)
{
  "formula": "MgMnN2",
  "functional": "r²SCAN",
  "state": "optimized geometry",
  "formation_enthalpy_0k_ev_per_atom": -0.90,
  "final_energy_ev_per_atom": -10.174,
  "sg": "No. 166",
  "lattice_angstrom": [[1.468, 0.847, 4.888], [-1.468, 0.847, 4.888], [0.000, -1.695, 4.888]],
  "species": ["Mg", "Mn", "N", "N"],
  "frac_coords": [[0.000, 0.000, 0.000], [0.500, 0.500, 0.500], [0.241, 0.241, 0.241], [0.759, 0.759, 0.759]]
}

=====

What is the formula in the first record? LuZr

=====

Copy entry 1 word for word.
{
  "formula": "LuZr",
  "functional": "r²SCAN",
  "state": "optimized geometry",
  "formation_enthalpy_0k_ev_per_atom": 0.04,
  "final_energy_ev_per_atom": -30.378,
  "sg": "No. 187",
  "lattice_angstrom": [[3.372, 0.000, 0.000], [-1.686, 2.920, 0.000], [0.000, 0.000, 5.261]],
  "species": ["Lu", "Zr"],
  "frac_coords": [[0.000, 0.000, 0.000], [0.333, 0.667, 0.500]]
}